(1)
VASP calculation (PBE+U) on NiSO10 after structural relaxation.

The structure in POSCAR format:
```
NiSO10
1.0
6.544 0.000 0.000
0.000 6.544 0.000
0.000 0.000 15.393
Ni S O
4 4 40
Cartesian
1.415 1.415 0.000
1.857 4.686 11.545
4.686 1.857 3.848
5.129 5.129 7.697
1.400 5.144 3.848
1.872 1.872 7.697
4.672 4.672 0.000
5.144 1.400 11.545
0.072 5.282 8.794
0.362 4.686 12.547
0.418 2.133 7.621
0.532 2.261 14.000
0.768 5.722 2.619
0.822 5.775 5.077
1.011 3.804 10.151
1.139 3.690 3.773
1.262 6.472 14.296
1.414 2.910 1.003
1.858 6.181 10.542
2.010 3.200 12.642
2.133 0.418 7.772
2.261 0.532 1.394
2.450 2.503 6.467
2.503 2.450 8.926
2.740 5.533 12.938
2.853 5.405 3.923
2.910 1.414 14.390
3.200 2.010 2.751
3.343 4.534 10.447
3.634 5.130 6.694
3.690 1.139 11.620
3.804 1.011 5.242
4.040 4.094 1.229
4.094 4.040 14.164
4.283 6.012 9.090
4.410 6.125 0.075
4.534 3.343 4.946
4.686 0.362 2.846
5.130 3.634 8.699
5.282 0.072 6.599
5.405 2.853 11.470
5.533 2.740 2.455
5.722 0.768 12.774
5.775 0.822 10.316
6.012 4.283 6.303
6.125 4.410 15.318
6.181 1.858 4.851
6.472 1.262 1.097
```

Calculated values
As for the offset from the most stable computed form: 0.000 eV per atom. The symmetry is P4_32_12.

=====

(2)
VASP calculation (PBE+U) on BaV13O18 after structural relaxation.

The structure in POSCAR format:
```
BaV13O18
1.0
6.597 3.809 2.501
-6.597 3.809 2.501
0.000 -7.617 2.501
Ba V O
1 13 18
Cartesian
0.000 0.000 0.000
-3.237 -4.277 3.790
-5.322 0.665 3.713
-2.801 -1.186 3.729
-0.373 -3.019 3.774
-2.428 1.833 3.774
2.085 -4.942 3.713
0.000 0.000 3.751
-2.085 4.942 3.790
2.428 -1.833 3.729
0.373 3.019 3.729
2.801 1.186 3.774
5.322 -0.665 3.790
3.237 4.277 3.713
-2.183 -2.891 2.581
-4.065 1.950 2.586
0.344 -4.495 2.586
-1.828 0.256 2.662
-3.721 -2.545 4.917
0.692 -1.712 2.662
-1.412 3.337 2.581
-3.596 0.445 4.922
-1.136 -1.455 4.840
1.136 1.455 2.662
3.596 -0.445 2.581
1.412 -3.337 4.922
-0.692 1.712 4.840
3.721 2.545 2.586
1.828 -0.256 4.840
-0.344 4.495 4.917
4.065 -1.950 4.917
2.183 2.891 4.922
```

Calculated values
As for the offset from the most stable computed form: 0.000 eV per atom. The symmetry is R-3.

=====

(3)
VASP calculation (PBE+U) on Na6TeMo6H44O46 after structural relaxation.

The structure in POSCAR format:
```
Na6TeMo6H44O46
1.0
10.352 0.000 0.000
-2.826 10.335 0.000
-4.666 -1.293 10.032
Na Te Mo H O
6 1 6 44 46
Cartesian
-1.612 2.017 3.430
0.354 1.557 0.674
-2.501 3.048 9.530
5.360 5.994 0.503
2.505 7.485 9.358
4.471 7.025 6.603
2.843 -0.646 5.016
-1.829 7.066 5.928
0.082 6.857 3.204
0.905 -0.441 7.726
1.955 9.483 2.306
2.777 2.185 6.828
4.688 1.976 4.104
-2.058 6.499 0.573
-4.028 2.047 7.011
-2.829 -0.350 6.052
-2.335 4.855 3.117
-3.016 9.615 2.249
-4.478 5.088 7.987
-0.687 4.236 0.914
-2.504 2.391 6.767
-4.951 8.572 8.567
-0.398 -0.545 4.487
-4.915 7.508 9.652
-1.530 9.404 1.909
-3.678 5.554 9.956
-0.860 3.606 5.726
-1.588 0.294 9.435
-0.310 2.167 6.050
0.797 3.363 3.188
-2.603 6.172 9.024
1.421 1.972 3.517
3.219 1.701 0.967
-0.467 4.432 7.881
0.141 3.018 8.152
2.719 6.024 1.880
3.327 4.610 2.152
-0.359 7.341 9.066
1.438 7.070 6.516
5.463 2.870 1.008
2.062 5.679 6.844
3.169 6.875 3.982
4.447 8.749 0.597
3.720 5.436 4.306
6.537 3.488 0.076
4.389 -0.361 8.123
7.774 1.534 0.381
3.257 9.588 5.545
7.810 0.471 1.466
5.363 6.651 3.265
3.546 4.806 9.118
7.337 3.954 2.045
5.875 -0.573 7.783
5.194 4.187 6.916
5.688 9.392 3.981
6.887 6.995 3.021
4.917 2.543 9.459
-2.151 4.123 2.499
-1.124 -0.291 3.853
-2.399 9.588 1.481
-0.140 3.891 0.178
-5.465 7.803 8.897
-3.176 2.211 7.471
-3.568 7.047 5.987
-1.728 6.857 3.961
-0.363 6.759 1.508
-1.076 2.653 5.650
0.771 2.421 2.918
-3.153 5.377 9.144
-0.849 -0.529 7.863
2.701 2.033 0.195
-1.871 9.359 5.467
-1.252 5.489 6.434
0.621 5.268 3.671
-0.168 9.173 3.137
1.364 9.169 0.699
-1.456 7.987 7.646
0.952 1.435 7.048
-0.294 3.778 8.593
0.267 7.768 5.350
2.592 1.274 4.682
3.153 5.264 1.439
1.907 7.607 2.984
4.315 1.055 2.386
1.496 -0.126 9.333
3.027 -0.131 6.895
2.239 3.775 6.361
4.112 3.553 3.598
4.730 -0.316 4.566
0.158 7.009 9.838
3.708 9.572 2.169
6.013 3.665 0.888
2.088 6.622 7.114
3.935 6.389 4.382
3.222 2.283 8.524
4.587 2.185 6.071
6.427 1.995 4.045
6.036 6.831 2.562
8.324 1.239 1.135
2.999 5.151 9.855
5.258 -0.546 8.552
3.983 9.333 6.179
5.010 4.920 7.533
```

Calculated values
The symmetry is P-1. The uncorrected energy is -5.4307 eV per atom.

=====

(4)
VASP calculation (PBE+U) on MgFeP4O12 after structural relaxation.

The structure in POSCAR format:
```
MgFeP4O12
1.0
6.016 -4.212 0.000
6.016 4.212 0.000
-4.904 0.000 8.874
Mg Fe P O
2 2 8 24
Cartesian
2.338 3.835 6.655
4.790 -3.835 2.218
0.556 2.106 4.437
3.008 -2.106 0.000
5.809 2.011 0.194
3.772 2.011 4.243
-0.276 0.081 7.149
2.176 -0.081 2.713
4.952 0.081 6.161
7.404 -0.081 1.724
3.357 -2.011 4.631
1.320 -2.011 8.680
5.177 3.160 0.871
0.842 0.627 2.859
4.403 3.160 3.566
2.600 2.257 5.183
0.070 0.650 5.823
-0.259 1.218 8.291
-1.610 -0.627 7.296
2.076 2.257 8.128
3.359 0.924 3.126
2.522 -0.650 1.386
6.221 0.924 1.311
4.936 1.218 5.019
2.193 -1.218 3.855
0.907 -0.924 7.563
4.606 0.650 7.488
3.770 -0.924 5.748
5.052 -2.257 0.746
8.739 0.627 1.577
7.387 -1.218 0.582
7.058 -0.650 3.051
4.528 -2.257 3.691
2.726 -3.160 5.308
6.287 -0.627 6.014
1.951 -3.160 8.003
```

Calculated values
The symmetry is C2/c. The uncorrected energy is -7.1422 eV per atom.